No. 1
Entry from Materials Project: an optimized crystal structure of Ba4Hf3S10 (GGA-PBE).

abc: 18.2351 18.2351 18.2351
angles: 164.23 164.23 22.37
Atoms (fractional coordinates):
S 0.9295 0.9295 0.0000
S 0.6393 0.1393 0.5000
S 0.7878 0.7878 0.0000
S 0.8607 0.3607 0.5000
S 0.2122 0.2122 0.0000
S 0.0000 0.5000 0.5000
S 0.5000 0.0000 0.5000
S 0.3607 0.8607 0.5000
S 0.0705 0.0705 0.0000
S 0.1393 0.6393 0.5000
Ba 0.7003 0.7003 0.0000
Ba 0.4315 0.4315 0.0000
Ba 0.5685 0.5685 0.0000
Ba 0.2997 0.2997 0.0000
Hf 0.0000 0.0000 0.0000
Hf 0.1425 0.1425 0.0000
Hf 0.8575 0.8575 0.0000

## Properties
The value obtained for the magnetic moment is 0.000 μB per atom. Its space group is I4/mmm (139).

=====

No. 2
Entry from Materials Project: an optimized crystal structure of BaHfS3 (GGA-PBE).

abc: 7.0010 7.0953 10.0197
angles: 90.00 90.00 90.00
Atoms (fractional coordinates):
Ba 0.5117 0.4527 0.7500
Ba 0.4883 0.5473 0.2500
Ba 0.0117 0.0473 0.2500
Ba 0.9883 0.9527 0.7500
S 0.7890 0.2110 0.9711
S 0.2110 0.7890 0.0289
S 0.2890 0.2890 0.0289
S 0.7890 0.2110 0.5289
S 0.5560 0.9992 0.2500
S 0.7110 0.7110 0.5289
S 0.0560 0.5008 0.7500
S 0.4440 0.0008 0.7500
S 0.2890 0.2890 0.4711
S 0.7110 0.7110 0.9711
S 0.2110 0.7890 0.4711
S 0.9440 0.4992 0.2500
Hf 0.0000 0.5000 0.0000
Hf 0.0000 0.5000 0.5000
Hf 0.5000 0.0000 0.5000
Hf 0.5000 0.0000 0.0000

## Properties
Its space group is Pnma (62).

=====

No. 3
Entry from Materials Project: an optimized crystal structure of BaHfS3 (GGA-PBE).

abc: 5.0096 5.0117 5.0124
angles: 90.00 90.04 90.01
Atoms (fractional coordinates):
S 0.4856 0.0002 0.4973
S 0.4882 0.4999 0.9984
S 0.9873 0.5046 0.5051
Ba 0.9914 0.9974 0.9940
Hf 0.4875 0.4980 0.4951

## Properties
The value obtained for the magnetic moment is 0.000 μB per atom. Its space group is P1 (1).

=====

No. 4
Entry from Materials Project: an optimized crystal structure of Ba2HfS4 (GGA-PBE).

abc: 4.9667 4.9667 8.6759
angles: 106.63 106.63 90.00
Atoms (fractional coordinates):
Ba 0.3578 0.3578 0.7156
Ba 0.6422 0.6422 0.2844
S 0.1618 0.1618 0.3236
S 0.0000 0.5000 0.0000
S 0.8382 0.8382 0.6764
S 0.5000 0.0000 0.0000
Hf 0.0000 0.0000 0.0000

## Properties
Its space group is I4/mmm (139).

=====

no.,energy of formation from the pure elements (eV per atom)
1,-2.15
2,-2.14
3,-2.11
4,-2.21